(1)
## CoOF (PBE with a Hubbard U)

Data for CoOF after structural relaxation.

It has space group Pmn2_1 (No. 31), with a = 8.999 Å, b = 4.482 Å, c = 4.509 Å, α = 90.00°, β = 90.00° and γ = 90.00°. The asymmetric unit holds Co at (0.000, 0.229, 0.000), Co at (0.166, 0.725, 0.559), O at (0.000, 0.924, 0.726), O at (0.164, 0.426, 0.843), F at (0.000, 0.519, 0.314) and F at (0.159, 0.033, 0.231).

For the formation enthalpy at 0 K, the calculation gives -1585 meV/atom. As for the offset from the most stable computed form: 27 meV/atom.

***

(2)
## Co6O7F5 (PBE with a Hubbard U)

Data for Co6O7F5 after structural relaxation.

It has space group Amm2 (No. 38), with a = 8.749 Å, b = 6.109 Å, c = 6.968 Å, α = 90.00°, β = 90.00° and γ = 90.00°. The asymmetric unit holds Co at (0.000, 0.000, 0.000), Co at (0.158, 0.000, 0.455), Co at (0.331, 0.000, 0.957), Co at (0.500, 0.000, 0.463), O at (0.000, 0.000, 0.283), O at (0.162, 0.194, 0.966), O at (0.500, 0.188, 0.961), F at (0.000, 0.000, 0.639), F at (0.319, 0.000, 0.275) and F at (0.320, 0.000, 0.648).

For the formation enthalpy at 0 K, the calculation gives -1503 meV/atom. As for the offset from the most stable computed form: 1 meV/atom.

***

(3)
## Co6O5F7 (PBE with a Hubbard U)

Data for Co6O5F7 after structural relaxation.

It has space group C2 (No. 5), with a = 8.710 Å, b = 6.828 Å, c = 6.945 Å, α = 90.00°, β = 110.41° and γ = 90.00°. The asymmetric unit holds Co at (0.000, 0.000, 0.000), Co at (0.000, 0.038, 0.500), Co at (0.149, 0.544, 0.168), Co at (0.169, 0.542, 0.656), O at (0.000, 0.717, 0.000), O at (0.058, 0.543, 0.367), O at (0.101, 0.031, 0.304), F at (0.000, 0.346, 0.000), F at (0.180, 0.228, 0.677), F at (0.183, 0.853, 0.680) and F at (0.244, 0.039, 0.036).

For the formation enthalpy at 0 K, the calculation gives -1692 meV/atom. As for the offset from the most stable computed form: 25 meV/atom.

***

(4)
## Co2O3F (PBE with a Hubbard U)

Data for Co2O3F after structural relaxation.

It has space group C2/m (No. 12), with a = 17.548 Å, b = 5.871 Å, c = 4.388 Å, α = 90.00°, β = 92.67° and γ = 90.00°. The asymmetric unit holds Co at (0.000, 0.000, 0.000), Co at (0.000, 0.500, 0.000), Co at (0.125, 0.246, 0.499), Co at (0.243, 0.500, 0.026), O at (0.049, 0.249, 0.193), O at (0.077, 0.000, 0.688), O at (0.172, 0.500, 0.309), O at (0.202, 0.249, 0.805), F at (0.072, 0.500, 0.713) and F at (0.181, 0.000, 0.279).

For the formation enthalpy at 0 K, the calculation gives -1290 meV/atom. As for the offset from the most stable computed form: 24 meV/atom.